*w*
Material: AlAgW2O8
Method: DFT, GGA+U
State: optimized geometry

Unit cell a=5.1484 b=5.8672 c=10.4451 alpha=90.00 beta=116.86 gamma=90.00
Last column: nearest neighbours and their distance in Å.
Fractional coordinates of all 24 atoms:
Al (0.0000, 0.1616, 0.2500)  4 O 1.85-2.01
Al (0.0000, 0.8384, 0.7500)  4 O 1.85-2.01
Ag (0.5000, 0.1533, 0.7500)  6 O 2.23-2.40
Ag (0.5000, 0.8467, 0.2500)  6 O 2.23-2.40
W (0.2417, 0.3326, 0.9994)  4 O 1.85-2.04
W (0.2417, 0.6674, 0.4994)  4 O 1.85-2.04
W (0.7583, 0.3326, 0.5006)  4 O 1.85-2.04
W (0.7583, 0.6674, 0.0006)  4 O 1.85-2.04
O (0.1594, 0.3992, 0.6104)  2 W 1.90-2.11
O (0.1594, 0.6008, 0.1104)  2 W 1.90-2.11
O (0.2026, 0.1677, 0.1420)  1 Al 1.85, 1 W 1.86
O (0.2026, 0.8323, 0.6420)  1 Al 1.85, 1 W 1.86
O (0.2255, 0.0933, 0.8811)  1 W 1.85, 1 Al 2.01
O (0.2255, 0.9067, 0.3811)  1 W 1.85, 1 Al 2.01
O (0.3203, 0.3851, 0.3944)  2 W 2.04-2.12, 1 Al 2.11
O (0.3203, 0.6149, 0.8944)  2 W 2.04-2.12, 1 Al 2.11
O (0.6797, 0.3851, 0.1056)  2 W 2.04-2.12, 1 Al 2.11
O (0.6797, 0.6149, 0.6056)  2 W 2.04-2.12, 1 Al 2.11
O (0.7745, 0.0933, 0.6189)  1 W 1.85, 1 Al 2.01
O (0.7745, 0.9067, 0.1189)  1 W 1.85, 1 Al 2.01
O (0.7974, 0.1677, 0.3580)  1 Al 1.85, 1 W 1.86
O (0.7974, 0.8323, 0.8580)  1 Al 1.85, 1 W 1.86
O (0.8406, 0.3992, 0.8896)  2 W 1.90-2.11
O (0.8406, 0.6008, 0.3896)  2 W 1.90-2.11

symmetry: No. 13

***

*x*
Material: AlAgW2O8
Method: DFT, GGA+U
State: optimized geometry

Unit cell a=5.1282 b=5.7187 c=5.7333 alpha=111.39 beta=91.74 gamma=110.35
Last column: nearest neighbours and their distance in Å.
Fractional coordinates of all 12 atoms:
Al (0.0000, 0.0000, 0.0000)  2 O 1.85
Ag (0.5000, 0.0000, 0.5000)  2 O 2.03
W (0.2526, 0.4996, 0.6847)  4 O 1.84-2.06
W (0.7474, 0.5004, 0.3153)  4 O 1.84-2.06
O (0.1318, 0.6892, 0.4624)  1 W 1.88, 1 Ag 2.03
O (0.2128, 0.7885, 0.9395)  1 W 1.84, 1 Al 1.85
O (0.2282, 0.2559, 0.8297)  1 W 1.84
O (0.3282, 0.2953, 0.3134)  2 W 2.06-2.14, 1 Al 2.13
O (0.6718, 0.7047, 0.6866)  2 W 2.06-2.14, 1 Al 2.13
O (0.7718, 0.7441, 0.1703)  1 W 1.84
O (0.7872, 0.2115, 0.0605)  1 W 1.84, 1 Al 1.85
O (0.8682, 0.3108, 0.5376)  1 W 1.88, 1 Ag 2.03

symmetry: No. 2

***

Which of them is the least stable? Correct choice: *x*.

***

*w*
Material: Mn3O2F4
Method: DFT, GGA+U
State: optimized geometry

Unit cell a=4.8356 b=4.8356 c=9.4564 alpha=90.06 beta=90.06 gamma=95.61
Last column: nearest neighbours and their distance in Å.
Fractional coordinates of all 18 atoms:
Mn (0.0000, 0.0000, 0.0000)  2 O 1.99, 4 F 2.15-2.19
Mn (0.0032, 0.0032, 0.6581)  3 O 1.97, 1 F 2.11
Mn (0.4728, 0.4728, 0.8314)  1 O 1.92, 5 F 2.05-2.13
Mn (0.5000, 0.5000, 0.5000)  2 O 1.97, 4 F 2.09
Mn (0.5272, 0.5272, 0.1686)  1 O 1.92, 5 F 2.05-2.13
Mn (0.9968, 0.9968, 0.3419)  3 O 1.97, 1 F 2.11
O (0.1776, 0.1776, 0.8287)  3 Mn 1.92-1.99
O (0.1975, 0.1975, 0.4984)  3 Mn 1.97
O (0.8025, 0.8025, 0.5016)  3 Mn 1.97
O (0.8224, 0.8224, 0.1713)  3 Mn 1.92-1.99
F (0.2111, 0.2111, 0.1747)  3 Mn 2.05-2.15
F (0.3036, 0.6872, 0.6667)  3 Mn 2.08-2.21
F (0.3051, 0.6949, 0.0000)  3 Mn 2.13-2.19
F (0.3128, 0.6964, 0.3333)  3 Mn 2.08-2.21
F (0.6872, 0.3036, 0.6667)  3 Mn 2.08-2.21
F (0.6949, 0.3051, 0.0000)  3 Mn 2.13-2.19
F (0.6964, 0.3128, 0.3333)  3 Mn 2.08-2.21
F (0.7889, 0.7889, 0.8253)  3 Mn 2.05-2.15

symmetry: No. 12

***

*x*
Material: Mn3O2F4
Method: DFT, GGA+U
State: optimized geometry

Unit cell a=4.8054 b=5.7493 c=7.9741 alpha=87.10 beta=87.60 gamma=88.53
Last column: nearest neighbours and their distance in Å.
Fractional coordinates of all 18 atoms:
Mn (0.0000, 0.0000, 0.0000)  2 O 2.03, 4 F 2.07-2.16
Mn (0.0071, 0.3256, 0.6686)  2 O 1.98, 4 F 2.01-2.14
Mn (0.0721, 0.6614, 0.3261)  3 O 1.94-2.05, 1 F 2.10
Mn (0.4775, 0.1623, 0.3407)  2 O 1.90-1.93, 2 F 2.03-2.07
Mn (0.5027, 0.8225, 0.6479)  1 O 2.01, 5 F 2.03-2.13
Mn (0.5182, 0.4979, 0.9973)  2 O 2.03-2.07, 4 F 2.09-2.16
O (0.2045, 0.7117, 0.0941)  3 Mn 1.94-2.07
O (0.2051, 0.3582, 0.4458)  3 Mn 1.90-2.05
O (0.3165, 0.8744, 0.4280)  3 Mn 1.93-2.01
O (0.8196, 0.2905, 0.8933)  3 Mn 1.98-2.03
F (0.2110, 0.0230, 0.7678)  3 Mn 2.03-2.11
F (0.3081, 0.2054, 0.0953)  3 Mn 2.09-2.15
F (0.3096, 0.5225, 0.7627)  3 Mn 2.05-2.16
F (0.6928, 0.4482, 0.2415)  2 Mn 2.07-2.16
F (0.7062, 0.7914, 0.8810)  3 Mn 2.09-2.16
F (0.7169, 0.1322, 0.5705)  3 Mn 2.01-2.20
F (0.7902, 0.9713, 0.2319)  2 Mn 2.03-2.07
F (0.8311, 0.6344, 0.5511)  3 Mn 2.04-2.14

symmetry: No. 1

***

Which of them is the least stable? Correct choice: *x*.

***

*w*
Material: Mn3O2F4
Method: DFT, GGA+U
State: optimized geometry

Unit cell a=5.8090 b=5.8090 c=7.1432 alpha=105.57 beta=105.57 gamma=76.71
Last column: nearest neighbours and their distance in Å.
Fractional coordinates of all 18 atoms:
Mn (0.0000, 0.0000, 0.0000)  6 F 2.05-2.12
Mn (0.0000, 0.0000, 0.5000)  4 F 2.08-2.22, 2 O 2.12
Mn (0.3328, 0.3328, 0.3361)  2 O 1.91-1.97, 4 F 2.07-2.10
Mn (0.3494, 0.3494, 0.8295)  3 O 1.93-2.00, 1 F 2.03
Mn (0.6506, 0.6506, 0.1705)  3 O 1.93-2.00, 1 F 2.03
Mn (0.6672, 0.6672, 0.6639)  2 O 1.91-1.97, 4 F 2.07-2.10
O (0.2411, 0.2411, 0.5393)  3 Mn 1.91-2.12
O (0.4293, 0.4293, 0.1273)  3 Mn 1.93-2.00
O (0.5707, 0.5707, 0.8727)  3 Mn 1.93-2.00
O (0.7589, 0.7589, 0.4607)  3 Mn 1.91-2.12
F (0.0218, 0.6398, 0.8269)  3 Mn 2.07-2.23
F (0.1212, 0.1212, 0.8052)  3 Mn 2.03-2.08
F (0.3074, 0.6926, 0.5000)  3 Mn 2.10-2.22
F (0.3602, 0.9782, 0.1731)  3 Mn 2.07-2.23
F (0.6398, 0.0218, 0.8269)  3 Mn 2.07-2.23
F (0.6926, 0.3074, 0.5000)  3 Mn 2.10-2.22
F (0.8788, 0.8788, 0.1948)  3 Mn 2.03-2.08
F (0.9782, 0.3602, 0.1731)  3 Mn 2.07-2.23

symmetry: No. 12

***

*x*
Material: Mn3O2F4
Method: DFT, GGA+U
State: optimized geometry

Unit cell a=10.8774 b=10.8774 c=3.1364 alpha=90.00 beta=90.00 gamma=143.41
Last column: nearest neighbours and their distance in Å.
Fractional coordinates of all 18 atoms:
Mn (0.0000, 0.0000, 0.0000)  2 O 2.12, 4 F 2.14
Mn (0.1709, 0.8291, 0.5000)  1 O 1.95, 5 F 2.06-2.08
Mn (0.3241, 0.6759, 0.0000)  2 O 1.98, 4 F 2.06-2.09
Mn (0.5000, 0.5000, 0.5000)  4 O 2.03
Mn (0.6759, 0.3241, 0.0000)  2 O 1.98, 4 F 2.06-2.09
Mn (0.8291, 0.1709, 0.5000)  1 O 1.95, 5 F 2.06-2.08
O (0.2653, 0.7347, 0.5000)  3 Mn 1.95-1.98
O (0.3104, 0.3104, 0.0000)  3 Mn 2.03-2.12
O (0.6896, 0.6896, 0.0000)  3 Mn 2.03-2.12
O (0.7347, 0.2653, 0.5000)  3 Mn 1.95-1.98
F (0.0306, 0.3609, 0.0000)  3 Mn 2.06-2.09
F (0.0704, 0.9296, 0.5000)  3 Mn 2.08-2.14
F (0.3609, 0.0306, 0.0000)  3 Mn 2.06-2.09
F (0.3888, 0.6112, 0.5000)  3 Mn 2.06-2.30
F (0.6112, 0.3888, 0.5000)  3 Mn 2.06-2.30
F (0.6391, 0.9694, 0.0000)  3 Mn 2.06-2.09
F (0.9296, 0.0704, 0.5000)  3 Mn 2.08-2.14
F (0.9694, 0.6391, 0.0000)  3 Mn 2.06-2.09

symmetry: No. 65

***

Which of them is the least stable? Correct choice: *x*.